[1]
The following is a PBE with a Hubbard U calculation of a relaxed structure of Li2Fe4OF8, from the Materials Project. Values from VASP.

```
&SYSTEM
  ibrav = 0, nat = 60, ntyp = 4
/
ATOMIC_SPECIES
Li 6.94 Li.upf
Fe 55.84 Fe.upf
O 16.00 O.upf
F 19.00 F.upf
CELL_PARAMETERS angstrom
7.618 -4.602 0.000
7.618 4.602 0.000
-0.932 0.000 10.634
ATOMIC_POSITIONS angstrom
Li 7.152 4.579 5.317
Li 4.389 0.038 7.582
Li 6.848 1.378 4.922
Li 4.855 -0.038 2.265
Li 6.382 -1.378 10.239
Li 9.752 0.129 4.370
Li 9.286 -0.129 9.686
Li 7.618 -4.579 0.000
Fe 2.120 1.405 4.816
Fe 5.107 3.086 2.768
Fe 4.054 1.476 10.200
Fe 6.886 2.973 8.006
Fe 9.115 3.498 2.824
Fe 1.654 -1.405 10.133
Fe 8.024 1.369 1.321
Fe 9.435 1.715 7.062
Fe 4.520 -1.476 4.883
Fe 12.197 1.508 1.892
Fe 7.558 -1.369 6.637
Fe 4.641 -3.086 8.085
Fe 7.352 -2.973 2.689
Fe 9.901 -1.715 1.746
Fe 11.731 -1.508 7.208
Fe 8.649 -3.498 8.141
O 0.766 0.353 3.774
O 0.300 -0.353 9.090
O 8.721 3.095 0.950
O 8.255 -3.095 6.266
F 5.129 3.034 9.243
F 3.560 1.651 2.939
F 3.098 1.566 8.257
F 6.087 3.053 4.402
F 5.945 1.545 1.539
F 5.656 1.646 6.961
F 8.076 3.018 6.272
F 3.415 0.035 5.790
F 3.881 -0.035 0.474
F 5.261 0.049 9.456
F 5.727 -0.049 4.139
F 8.503 1.480 3.404
F 3.564 -1.566 2.940
F 3.094 -1.651 8.256
F 8.319 1.450 8.762
F 8.259 0.325 5.932
F 10.805 1.647 5.549
F 5.479 -1.545 6.856
F 11.226 1.483 0.145
F 6.122 -1.646 1.644
F 8.725 -0.325 0.615
F 5.595 -3.034 3.926
F 10.623 0.134 8.040
F 8.037 -1.480 8.721
F 8.785 -1.450 3.445
F 5.621 -3.053 9.718
F 11.089 -0.134 2.723
F 8.542 -3.018 0.955
F 10.760 -1.483 5.462
F 13.648 0.002 1.635
F 13.182 -0.002 6.952
F 11.271 -1.647 0.232
```

## Properties
Its energy above the most stable polymorph in this dataset is 37 meV/atom. The space group is No. 9. The value obtained for the MP2020-corrected energy is -6.366 eV per atom.

[2]
The following is a PBE with a Hubbard U calculation of a relaxed structure of Li3Fe10O7F9, from the Materials Project. Values from VASP.

```
&SYSTEM
  ibrav = 0, nat = 29, ntyp = 4
/
ATOMIC_SPECIES
Li 6.94 Li.upf
Fe 55.84 Fe.upf
O 16.00 O.upf
F 19.00 F.upf
CELL_PARAMETERS angstrom
6.103 0.000 0.000
2.940 5.464 0.000
2.824 1.600 10.108
ATOMIC_POSITIONS angstrom
Li 0.000 0.000 0.000
Li 2.864 1.402 4.259
Li 5.756 2.793 8.656
Fe 4.329 4.167 4.298
Fe 4.449 2.376 1.824
Fe 7.261 5.795 6.824
Fe 6.027 5.165 1.836
Fe 5.814 1.381 4.198
Fe 7.410 4.237 4.192
Fe 8.807 4.956 9.377
Fe 8.823 3.184 6.831
Fe 7.525 2.500 1.760
Fe 10.347 5.815 6.853
O 2.853 3.162 3.104
O 5.761 5.175 5.539
O 4.345 0.616 3.106
O 5.897 3.301 3.138
O 8.793 6.390 8.011
O 6.007 1.891 0.590
O 8.883 4.916 5.517
F 1.423 0.596 3.093
F 2.824 1.417 8.031
F 4.258 3.935 8.036
F 4.203 2.293 5.590
F 4.514 4.391 0.654
F 2.936 1.439 0.549
F 7.298 3.860 8.012
F 7.524 4.340 0.519
F 7.357 2.205 5.474
```

## Properties
The space group is No. 1. The value obtained for the MP2020-corrected energy is -6.995 eV per atom.

[3]
The following is a PBE with a Hubbard U calculation of a relaxed structure of Li4Fe7O2F14, from the Materials Project. Values from VASP.

```
&SYSTEM
  ibrav = 0, nat = 27, ntyp = 4
/
ATOMIC_SPECIES
Li 6.94 Li.upf
Fe 55.84 Fe.upf
O 16.00 O.upf
F 19.00 F.upf
CELL_PARAMETERS angstrom
6.147 0.000 0.000
-2.958 5.398 0.000
-0.268 -3.467 10.187
ATOMIC_POSITIONS angstrom
Li 0.000 0.000 0.000
Li -1.635 1.031 5.104
Li 1.939 3.145 3.951
Li 3.315 -1.135 9.072
Fe 0.866 -0.104 7.055
Fe 0.005 0.523 9.512
Fe 1.705 -0.537 4.543
Fe -0.480 4.502 1.890
Fe 1.083 1.645 1.989
Fe 3.891 1.658 1.987
Fe 2.414 2.644 7.043
O 2.089 1.666 3.250
O 2.838 1.302 0.822
F 0.218 -2.493 8.257
F 0.520 -0.841 3.246
F -0.305 -0.334 5.836
F -1.864 2.599 5.664
F -1.598 4.101 0.650
F -0.186 1.624 0.736
F -0.922 0.023 8.342
F -0.905 2.103 3.021
F 1.371 4.085 0.664
F 3.576 -0.873 3.277
F 1.916 0.194 8.335
F 2.683 -0.204 5.828
F 3.517 -2.646 8.397
F 1.401 2.279 5.911
```

## Properties
Its energy above the most stable polymorph in this dataset is 674 meV/atom. The space group is No. 1. The value obtained for the MP2020-corrected energy is -5.725 eV per atom.